Pr2CuAg | the Materials Project database | GGA-PBE | relaxed; energy of formation = -0.180 eV/atom; calculated volume = 25.755 Å³/atom
1.0
-2.299 -2.839 0.710
-0.106 -0.821 -3.628
5.846 -4.521 0.853
Pr Ag Cu
2 1 1
direct
0.500 0.500 0.264 Pr
0.500 0.500 0.736 Pr
0.000 0.000 0.000 Ag
0.000 0.000 0.500 Cu